Compound: Ca2Al2FeSi3O13
Source: the Materials Project database
Functional: GGA+U
Structure: relaxed

## Properties
Its polymorph energy (0 for the lowest one) is 5.628 eV/f.u.

a = 8.5857 Å, b = 5.8132 Å, c = 10.5386 Å
α = 90.00°, β = 91.03°, γ = 90.00°
Sites, in units of the cell vectors:
1 Ca 0.0746 0.2500 0.1584
2 Ca 0.0941 0.2500 0.8474
3 Ca 0.9059 0.7500 0.1526
4 Ca 0.9254 0.7500 0.8416
5 Al 0.2304 0.7500 0.6479
6 Al 0.4015 0.7500 0.9242
7 Al 0.5985 0.2500 0.0758
8 Al 0.7696 0.2500 0.3521
9 Fe 0.0000 0.0000 0.5000
10 Fe 0.0000 0.5000 0.5000
11 Si 0.3235 0.7500 0.3510
12 Si 0.3928 0.2500 0.2783
13 Si 0.4381 0.2500 0.8280
14 Si 0.5619 0.7500 0.1720
15 Si 0.6072 0.7500 0.7217
16 Si 0.6765 0.2500 0.6490
17 O 0.0000 0.0000 0.0000
18 O 0.0000 0.5000 0.0000
19 O 0.0893 0.5247 0.6773
20 O 0.0893 0.9753 0.6773
21 O 0.1207 0.2500 0.4768
22 O 0.2062 0.7500 0.4749
23 O 0.2791 0.0165 0.3002
24 O 0.2791 0.4835 0.3002
25 O 0.3291 0.0200 0.8582
26 O 0.3291 0.4800 0.8582
27 O 0.4027 0.7500 0.0884
28 O 0.4036 0.2500 0.1250
29 O 0.4396 0.7500 0.6487
30 O 0.4867 0.2500 0.6741
31 O 0.5133 0.7500 0.3259
32 O 0.5604 0.2500 0.3513
33 O 0.5964 0.7500 0.8750
34 O 0.5973 0.2500 0.9116
35 O 0.6709 0.5200 0.1418
36 O 0.6709 0.9800 0.1418
37 O 0.7209 0.5165 0.6998
38 O 0.7209 0.9835 0.6998
39 O 0.7938 0.2500 0.5251
40 O 0.8793 0.7500 0.5232
41 O 0.9107 0.0247 0.3227
42 O 0.9107 0.4753 0.3227



Compound: Ca3AlFeSi3O12
Source: the Materials Project database
Functional: GGA+U
Structure: relaxed

a = 10.4599 Å, b = 10.4599 Å, c = 10.4599 Å
α = 109.47°, β = 109.47°, γ = 109.47°
Sites, in units of the cell vectors:
1 Ca 0.1253 0.2500 0.3753
2 Ca 0.1247 0.3747 0.7500
3 Ca 0.2500 0.3753 0.1253
4 Ca 0.2500 0.8753 0.6253
5 Ca 0.3753 0.1253 0.2500
6 Ca 0.3747 0.7500 0.1247
7 Ca 0.6253 0.2500 0.8753
8 Ca 0.6247 0.8747 0.7500
9 Ca 0.7500 0.1247 0.3747
10 Ca 0.7500 0.6247 0.8747
11 Ca 0.8753 0.6253 0.2500
12 Ca 0.8747 0.7500 0.6247
13 Al 0.0000 0.0000 0.0000
14 Al 0.0000 0.5000 0.5000
15 Al 0.5000 0.0000 0.5000
16 Al 0.5000 0.5000 0.0000
17 Fe 0.0000 0.0000 0.5000
18 Fe 0.0000 0.5000 0.0000
19 Fe 0.5000 0.0000 0.0000
20 Fe 0.5000 0.5000 0.5000
21 Si 0.1229 0.7500 0.8729
22 Si 0.1271 0.8771 0.2500
23 Si 0.2500 0.1271 0.8771
24 Si 0.2500 0.6271 0.3771
25 Si 0.3729 0.6229 0.7500
26 Si 0.3771 0.2500 0.6271
27 Si 0.6229 0.7500 0.3729
28 Si 0.6271 0.3771 0.2500
29 Si 0.7500 0.3729 0.6229
30 Si 0.7500 0.8729 0.1229
31 Si 0.8729 0.1229 0.7500
32 Si 0.8771 0.2500 0.1271
33 O 0.0078 0.1965 0.1140
34 O 0.0085 0.3042 0.8927
35 O 0.0825 0.6965 0.6887
36 O 0.0885 0.8842 0.3927
37 O 0.1062 0.6140 0.4175
38 O 0.1073 0.9915 0.6958
39 O 0.1140 0.0078 0.1965
40 O 0.1158 0.6073 0.9115
41 O 0.1887 0.4922 0.6062
42 O 0.1958 0.2043 0.5885
43 O 0.1965 0.1140 0.0078
44 O 0.2043 0.5885 0.1958
45 O 0.2957 0.4914 0.3842
46 O 0.3035 0.3113 0.9175
47 O 0.3042 0.8927 0.0086
48 O 0.3113 0.9175 0.3035
49 O 0.3842 0.2957 0.4914
50 O 0.3860 0.5825 0.8938
51 O 0.3927 0.0885 0.8842
52 O 0.3938 0.8113 0.5078
53 O 0.4115 0.8042 0.7957
54 O 0.4175 0.1062 0.6140
55 O 0.4914 0.3842 0.2957
56 O 0.4922 0.6062 0.1887
57 O 0.5078 0.3938 0.8113
58 O 0.5085 0.6158 0.7043
59 O 0.5825 0.8938 0.3860
60 O 0.5885 0.1958 0.2043
61 O 0.6062 0.1887 0.4922
62 O 0.6073 0.9115 0.1158
63 O 0.6140 0.4175 0.1062
64 O 0.6158 0.7043 0.5085
65 O 0.6887 0.0825 0.6965
66 O 0.6958 0.1073 0.9914
67 O 0.6965 0.6887 0.0825
68 O 0.7043 0.5085 0.6158
69 O 0.7957 0.4115 0.8042
70 O 0.8035 0.8860 0.9922
71 O 0.8042 0.7957 0.4115
72 O 0.8113 0.5078 0.3938
73 O 0.8842 0.3927 0.0885
74 O 0.8860 0.9922 0.8035
75 O 0.8927 0.0085 0.3042
76 O 0.8938 0.3860 0.5825
77 O 0.9115 0.1158 0.6073
78 O 0.9175 0.3035 0.3113
79 O 0.9915 0.6958 0.1073
80 O 0.9922 0.8035 0.8860



Compound: Ca8Al11FeSi12O52
Source: the Materials Project database
Functional: GGA+U
Structure: relaxed

a = 10.3326 Å, b = 5.6526 Å, c = 16.3071 Å
α = 90.00°, β = 98.69°, γ = 90.00°
Sites, in units of the cell vectors:
1 Ca 0.0000 0.0000 0.0000
2 Ca 0.0462 0.5000 0.7359
3 Ca 0.1518 0.0000 0.4192
4 Ca 0.3976 0.5000 0.8161
5 Ca 0.5017 0.0000 0.4995
6 Ca 0.5474 0.5000 0.2363
7 Ca 0.6510 0.0000 0.9183
8 Ca 0.8971 0.5000 0.3167
9 Al 0.1877 0.5000 0.2614
10 Al 0.2737 0.2509 0.1194
11 Al 0.2743 0.2506 0.6170
12 Al 0.2737 0.7491 0.1194
13 Al 0.2743 0.7494 0.6170
14 Al 0.6880 0.5000 0.7606
15 Al 0.7743 0.2499 0.6177
16 Al 0.7743 0.7501 0.6177
17 Al 0.7752 0.2502 0.1182
18 Al 0.7752 0.7498 0.1182
19 Al 0.8607 0.0000 0.4749
20 Fe 0.3555 0.0000 0.9746
21 Si 0.0500 0.0000 0.2097
22 Si 0.1523 0.5000 0.9487
23 Si 0.2079 0.0000 0.7767
24 Si 0.3392 0.5000 0.4553
25 Si 0.3953 0.0000 0.2873
26 Si 0.5014 0.5000 0.0269
27 Si 0.5500 0.0000 0.7093
28 Si 0.6535 0.5000 0.4482
29 Si 0.7093 0.0000 0.2803
30 Si 0.8386 0.5000 0.9554
31 Si 0.8951 0.0000 0.7872
32 Si 0.9985 0.5000 0.5260
33 O 0.0583 0.0000 0.7999
34 O 0.0743 0.2353 0.2701
35 O 0.0743 0.7647 0.2701
36 O 0.1436 0.5000 0.5848
37 O 0.1506 0.0000 0.1383
38 O 0.1688 0.0000 0.5764
39 O 0.1751 0.5000 0.1481
40 O 0.1953 0.5000 0.8588
41 O 0.1987 0.2555 0.0018
42 O 0.1987 0.7445 0.0018
43 O 0.2205 0.2384 0.7209
44 O 0.2205 0.7616 0.7209
45 O 0.2329 0.5000 0.3727
46 O 0.3198 0.0000 0.8562
47 O 0.3254 0.2636 0.5123
48 O 0.3254 0.7364 0.5123
49 O 0.3478 0.2470 0.2363
50 O 0.3478 0.7530 0.2363
51 O 0.3542 0.0000 0.3778
52 O 0.3754 0.0000 0.0942
53 O 0.3802 0.5000 0.6585
54 O 0.3978 0.5000 0.0970
55 O 0.4049 0.0000 0.6500
56 O 0.4802 0.2701 0.9643
57 O 0.4802 0.7299 0.9643
58 O 0.4906 0.5000 0.4354
59 O 0.5580 0.0000 0.3000
60 O 0.5746 0.2357 0.7697
61 O 0.5746 0.7643 0.7697
62 O 0.6448 0.5000 0.0875
63 O 0.6509 0.0000 0.6379
64 O 0.6691 0.0000 0.0777
65 O 0.6756 0.5000 0.6472
66 O 0.6945 0.5000 0.3581
67 O 0.7006 0.2540 0.5001
68 O 0.7006 0.7460 0.5001
69 O 0.7234 0.2358 0.2231
70 O 0.7234 0.7642 0.2231
71 O 0.7332 0.5000 0.8721
72 O 0.8156 0.0000 0.3632
73 O 0.8247 0.2638 0.0125
74 O 0.8247 0.7362 0.0125
75 O 0.8481 0.2459 0.7354
76 O 0.8481 0.7541 0.7354
77 O 0.8546 0.0000 0.8774
78 O 0.8731 0.0000 0.5883
79 O 0.8810 0.5000 0.1592
80 O 0.8977 0.5000 0.5976
81 O 0.9054 0.0000 0.1500
82 O 0.9741 0.2644 0.4656
83 O 0.9741 0.7356 0.4656
84 O 0.9899 0.5000 0.9352



Compound: Ca2Al2FeSi3O13
Source: the Materials Project database
Functional: GGA+U
Structure: relaxed

## Properties
Its polymorph energy (0 for the lowest one) is 0.000 eV/f.u.

a = 8.9934 Å, b = 5.7135 Å, c = 10.3255 Å
α = 90.00°, β = 115.31°, γ = 90.00°
Sites, in units of the cell vectors:
1 Ca 0.1092 0.2500 0.3486
2 Ca 0.3260 0.7500 0.9235
3 Ca 0.6740 0.2500 0.0765
4 Ca 0.8908 0.7500 0.6514
5 Al 0.0000 0.0000 0.0000
6 Al 0.0000 0.5000 0.0000
7 Al 0.5000 0.0000 0.5000
8 Al 0.5000 0.5000 0.5000
9 Fe 0.4359 0.2500 0.7273
10 Fe 0.5641 0.7500 0.2727
11 Si 0.0870 0.2500 0.7718
12 Si 0.2083 0.7500 0.5479
13 Si 0.3659 0.2500 0.1798
14 Si 0.6341 0.7500 0.8202
15 Si 0.7917 0.2500 0.4521
16 Si 0.9130 0.7500 0.2282
17 O 0.0299 0.7500 0.4026
18 O 0.0359 0.0165 0.8358
19 O 0.0359 0.4835 0.8358
20 O 0.1468 0.7500 0.0507
21 O 0.1635 0.2500 0.0915
22 O 0.1634 0.7500 0.6812
23 O 0.2790 0.2500 0.8074
24 O 0.3064 0.5072 0.5398
25 O 0.3064 0.9928 0.5398
26 O 0.3971 0.2500 0.3526
27 O 0.4288 0.7500 0.3759
28 O 0.4512 0.0211 0.1406
29 O 0.4512 0.4789 0.1406
30 O 0.5488 0.5211 0.8594
31 O 0.5488 0.9789 0.8594
32 O 0.5712 0.2500 0.6241
33 O 0.6029 0.7500 0.6474
34 O 0.6936 0.0072 0.4602
35 O 0.6936 0.4928 0.4602
36 O 0.7210 0.7500 0.1926
37 O 0.8366 0.2500 0.3188
38 O 0.8365 0.7500 0.9085
39 O 0.8532 0.2500 0.9493
40 O 0.9641 0.5165 0.1642
41 O 0.9641 0.9835 0.1642
42 O 0.9701 0.2500 0.5974



no.,formation energy (meV/atom),total energy after the MP2020 corrections (eV/atom)
1,-2808,-7.60
2,-3227,-7.92
3,-3236,-7.86
4,-3076,-7.87